# 1
Cr3GeC: optimized geometry, GGA-PBE.

```
Cr3GeC
1.0
1.434 -5.146 0.000
1.434 5.146 0.000
0.000 0.000 7.648
Cr Ge C
6 2 2
Direct
0.031 0.969 0.750 Cr
0.374 0.626 0.544 Cr
0.374 0.626 0.956 Cr
0.626 0.374 0.044 Cr
0.626 0.374 0.456 Cr
0.969 0.031 0.250 Cr
0.260 0.740 0.250 Ge
0.740 0.260 0.750 Ge
0.000 0.000 0.000 C
0.000 0.000 0.500 C
```

Summary:
DFT total energy: -8.62 eV/atom
Crystal system: orthorhombic

---

# 2
K2MnP2Se6: optimized geometry, GGA-PBE.

```
K2MnP2Se6
1.0
6.561 0.000 0.000
0.000 12.889 0.000
-4.882 0.000 7.538
K Mn P Se
4 2 4 12
Direct
0.185 0.194 0.459 K
0.185 0.306 0.959 K
0.815 0.694 0.041 K
0.815 0.806 0.541 K
0.500 0.000 0.000 Mn
0.500 0.500 0.500 Mn
0.148 0.533 0.633 P
0.148 0.967 0.133 P
0.852 0.033 0.867 P
0.852 0.467 0.367 P
0.047 0.057 0.732 Se
0.047 0.443 0.232 Se
0.288 0.671 0.570 Se
0.288 0.829 0.070 Se
0.440 0.084 0.254 Se
0.440 0.416 0.754 Se
0.560 0.584 0.246 Se
0.560 0.916 0.746 Se
0.712 0.171 0.930 Se
0.712 0.329 0.430 Se
0.953 0.557 0.768 Se
0.953 0.943 0.268 Se
```

Summary:
DFT total energy: -4.49 eV/atom
Crystal system: monoclinic

---

# 3
ScCoGe: optimized geometry, GGA-PBE.

```
ScCoGe
1.0
6.485 0.000 0.000
0.000 4.065 0.000
0.000 0.000 7.066
Sc Co Ge
4 4 4
Direct
0.001 0.250 0.200 Sc
0.499 0.750 0.700 Sc
0.501 0.250 0.300 Sc
0.999 0.750 0.800 Sc
0.154 0.750 0.439 Co
0.346 0.250 0.939 Co
0.654 0.750 0.061 Co
0.846 0.250 0.561 Co
0.214 0.250 0.609 Ge
0.286 0.750 0.109 Ge
0.714 0.250 0.891 Ge
0.786 0.750 0.391 Ge
```

Summary:
DFT total energy: -6.75 eV/atom
Crystal system: orthorhombic

---

# 4
KMg14Zr: optimized geometry, GGA-PBE.

```
KMg14Zr
1.0
6.618 0.000 0.000
-3.309 5.731 0.000
0.000 0.000 10.276
K Mg Zr
1 14 1
Direct
0.000 0.000 0.000 K
0.002 0.501 0.500 Mg
0.007 0.503 0.000 Mg
0.169 0.339 0.261 Mg
0.169 0.339 0.739 Mg
0.169 0.831 0.261 Mg
0.169 0.831 0.739 Mg
0.497 0.503 0.000 Mg
0.497 0.993 0.000 Mg
0.499 0.501 0.500 Mg
0.499 0.998 0.500 Mg
0.661 0.831 0.261 Mg
0.661 0.831 0.739 Mg
0.667 0.333 0.249 Mg
0.667 0.333 0.751 Mg
0.000 0.000 0.500 Zr
```

Summary:
DFT total energy: -1.89 eV/atom
Excess energy over the best structure of this formula in the dataset: 0 meV per atom
Crystal system: hexagonal

---

# 5
Re2N: optimized geometry, GGA-PBE.

```
Re2N
1.0
2.867 0.000 0.000
-1.434 2.483 0.000
0.000 0.000 9.872
Re N
4 2
Direct
0.333 0.667 0.106 Re
0.333 0.667 0.394 Re
0.667 0.333 0.606 Re
0.667 0.333 0.894 Re
0.333 0.667 0.750 N
0.667 0.333 0.250 N
```

Summary:
DFT total energy: -11.04 eV/atom
Crystal system: hexagonal

---

# 6
ZrBeCd: optimized geometry, GGA-PBE.

```
ZrBeCd
1.0
6.429 0.000 0.000
0.000 6.429 0.000
0.000 0.000 6.429
Zr Be Cd
4 4 4
Direct
0.000 0.000 0.000 Zr
0.000 0.500 0.500 Zr
0.500 0.000 0.500 Zr
0.500 0.500 0.000 Zr
0.250 0.250 0.250 Be
0.250 0.750 0.750 Be
0.750 0.250 0.750 Be
0.750 0.750 0.250 Be
0.250 0.250 0.750 Cd
0.250 0.750 0.250 Cd
0.750 0.250 0.250 Cd
0.750 0.750 0.750 Cd
```

Summary:
DFT total energy: -3.62 eV/atom
Crystal system: cubic

---

# 7
ZrSnRh2: optimized geometry, GGA-PBE.

```
ZrSnRh2
1.0
6.550 0.000 0.000
0.000 6.550 0.000
0.000 0.000 6.550
Zr Sn Rh
4 4 8
Direct
0.000 0.000 0.000 Zr
0.000 0.500 0.500 Zr
0.500 0.000 0.500 Zr
0.500 0.500 0.000 Zr
0.000 0.000 0.500 Sn
0.000 0.500 0.000 Sn
0.500 0.000 0.000 Sn
0.500 0.500 0.500 Sn
0.250 0.250 0.250 Rh
0.250 0.250 0.750 Rh
0.250 0.750 0.250 Rh
0.250 0.750 0.750 Rh
0.750 0.250 0.250 Rh
0.750 0.250 0.750 Rh
0.750 0.750 0.250 Rh
0.750 0.750 0.750 Rh
```

Summary:
DFT total energy: -7.56 eV/atom
Crystal system: cubic

---

# 8
RbTaO3: optimized geometry, GGA-PBE.

```
RbTaO3
1.0
5.174 0.000 0.000
-0.685 8.552 0.000
-0.595 -3.794 8.263
Rb Ta O
4 4 12
Direct
0.000 0.000 0.000 Rb
0.000 0.000 0.500 Rb
0.414 0.704 0.098 Rb
0.586 0.296 0.902 Rb
0.028 0.511 0.316 Ta
0.499 0.712 0.643 Ta
0.501 0.288 0.357 Ta
0.972 0.489 0.684 Ta
0.094 0.394 0.815 O
0.212 0.716 0.771 O
0.237 0.427 0.509 O
0.280 0.714 0.458 O
0.301 0.378 0.208 O
0.355 0.065 0.272 O
0.645 0.935 0.728 O
0.699 0.622 0.792 O
0.720 0.286 0.542 O
0.763 0.573 0.491 O
0.788 0.284 0.229 O
0.906 0.606 0.185 O
```

Summary:
DFT total energy: -8.16 eV/atom
Crystal system: triclinic

---

# 9
LiSbP2O7: optimized geometry, GGA-PBE.

```
LiSbP2O7
1.0
6.907 0.000 0.000
0.000 10.259 0.000
-3.360 0.000 8.042
Li Sb P O
4 4 8 28
Direct
0.249 0.085 0.257 Li
0.249 0.415 0.757 Li
0.751 0.585 0.243 Li
0.751 0.915 0.743 Li
0.120 0.710 0.118 Sb
0.120 0.790 0.618 Sb
0.880 0.210 0.382 Sb
0.880 0.290 0.882 Sb
0.151 0.097 0.829 P
0.151 0.403 0.329 P
0.469 0.166 0.703 P
0.469 0.334 0.203 P
0.531 0.666 0.797 P
0.531 0.834 0.297 P
0.849 0.597 0.671 P
0.849 0.903 0.171 P
0.035 0.223 0.729 O
0.035 0.277 0.229 O
0.062 0.528 0.231 O
0.062 0.972 0.731 O
0.127 0.108 0.994 O
0.127 0.392 0.494 O
0.309 0.128 0.536 O
0.309 0.372 0.036 O
0.309 0.606 0.745 O
0.309 0.894 0.245 O
0.389 0.112 0.847 O
0.389 0.388 0.347 O
0.482 0.687 0.255 O
0.482 0.813 0.755 O
0.518 0.187 0.245 O
0.518 0.313 0.745 O
0.611 0.612 0.653 O
0.611 0.888 0.153 O
0.691 0.106 0.755 O
0.691 0.394 0.255 O
0.691 0.628 0.964 O
0.691 0.872 0.464 O
0.873 0.608 0.506 O
0.873 0.892 0.006 O
0.938 0.028 0.269 O
0.938 0.472 0.769 O
0.965 0.723 0.771 O
0.965 0.777 0.271 O
```

Summary:
DFT total energy: -6.67 eV/atom
Crystal system: monoclinic

---

# 10
Mg149I: optimized geometry, GGA-PBE.

```
Mg149I
1.0
15.919 0.000 0.000
-7.959 13.786 0.000
0.000 0.000 15.601
Mg I
149 1
Direct
0.000 0.000 0.000 Mg
0.000 0.000 0.334 Mg
0.000 0.000 0.666 Mg
0.000 0.200 0.000 Mg
0.000 0.200 0.334 Mg
0.000 0.200 0.666 Mg
0.000 0.400 0.333 Mg
0.000 0.400 0.667 Mg
0.000 0.600 0.333 Mg
0.000 0.600 0.667 Mg
0.000 0.800 0.000 Mg
0.000 0.800 0.334 Mg
0.000 0.800 0.666 Mg
0.127 0.460 0.500 Mg
0.127 0.668 0.500 Mg
0.132 0.066 0.500 Mg
0.133 0.066 0.167 Mg
0.133 0.066 0.833 Mg
0.133 0.265 0.500 Mg
0.133 0.267 0.167 Mg
0.133 0.267 0.833 Mg
0.133 0.466 0.165 Mg
0.133 0.466 0.835 Mg
0.133 0.667 0.165 Mg
0.133 0.667 0.835 Mg
0.133 0.867 0.167 Mg
0.133 0.867 0.500 Mg
0.133 0.867 0.833 Mg
0.197 0.598 0.328 Mg
0.197 0.598 0.672 Mg
0.200 0.000 0.000 Mg
0.200 0.000 0.334 Mg
0.200 0.000 0.666 Mg
0.200 0.200 0.000 Mg
0.200 0.200 0.334 Mg
0.200 0.200 0.666 Mg
0.200 0.399 0.000 Mg
0.200 0.401 0.333 Mg
0.200 0.401 0.667 Mg
0.200 0.600 0.000 Mg
0.200 0.800 0.000 Mg
0.200 0.800 0.333 Mg
0.200 0.800 0.667 Mg
0.332 0.460 0.500 Mg
0.332 0.873 0.500 Mg
0.333 0.067 0.166 Mg
0.333 0.067 0.834 Mg
0.333 0.266 0.166 Mg
0.333 0.266 0.834 Mg
0.333 0.466 0.165 Mg
0.333 0.466 0.835 Mg
0.333 0.667 0.167 Mg
0.333 0.667 0.833 Mg
0.333 0.867 0.165 Mg
0.333 0.867 0.835 Mg
0.334 0.069 0.500 Mg
0.334 0.265 0.500 Mg
0.400 0.000 0.333 Mg
0.400 0.000 0.667 Mg
0.400 0.200 0.000 Mg
0.400 0.200 0.333 Mg
0.400 0.200 0.667 Mg
0.400 0.400 0.333 Mg
0.400 0.400 0.667 Mg
0.400 0.600 0.000 Mg
0.400 0.800 0.000 Mg
0.401 0.001 0.000 Mg
0.401 0.400 0.000 Mg
0.402 0.598 0.328 Mg
0.402 0.598 0.672 Mg
0.402 0.803 0.328 Mg
0.402 0.803 0.672 Mg
0.533 0.066 0.167 Mg
0.533 0.066 0.833 Mg
0.533 0.067 0.500 Mg
0.533 0.467 0.167 Mg
0.533 0.467 0.500 Mg
0.533 0.467 0.833 Mg
0.534 0.267 0.167 Mg
0.534 0.267 0.500 Mg
0.534 0.267 0.833 Mg
0.534 0.667 0.165 Mg
0.534 0.667 0.835 Mg
0.534 0.867 0.165 Mg
0.534 0.867 0.835 Mg
0.540 0.668 0.500 Mg
0.540 0.873 0.500 Mg
0.599 0.800 0.333 Mg
0.599 0.800 0.667 Mg
0.600 0.000 0.333 Mg
0.600 0.000 0.667 Mg
0.600 0.001 0.000 Mg
0.600 0.200 0.000 Mg
0.600 0.200 0.334 Mg
0.600 0.200 0.666 Mg
0.600 0.400 0.000 Mg
0.600 0.400 0.334 Mg
0.600 0.400 0.666 Mg
0.600 0.599 0.000 Mg
0.600 0.600 0.333 Mg
0.600 0.600 0.667 Mg
0.601 0.800 0.000 Mg
0.733 0.267 0.167 Mg
0.733 0.267 0.500 Mg
0.733 0.267 0.833 Mg
0.733 0.466 0.167 Mg
0.733 0.466 0.500 Mg
0.733 0.466 0.833 Mg
0.733 0.867 0.167 Mg
0.733 0.867 0.833 Mg
0.734 0.067 0.166 Mg
0.734 0.067 0.834 Mg
0.734 0.667 0.166 Mg
0.734 0.667 0.834 Mg
0.735 0.069 0.500 Mg
0.735 0.666 0.500 Mg
0.735 0.867 0.500 Mg
0.800 0.000 0.000 Mg
0.800 0.000 0.334 Mg
0.800 0.000 0.666 Mg
0.800 0.200 0.000 Mg
0.800 0.200 0.333 Mg
0.800 0.200 0.667 Mg
0.800 0.400 0.000 Mg
0.800 0.400 0.334 Mg
0.800 0.400 0.666 Mg
0.800 0.600 0.000 Mg
0.800 0.600 0.333 Mg
0.800 0.600 0.667 Mg
0.800 0.800 0.000 Mg
0.800 0.800 0.334 Mg
0.800 0.800 0.666 Mg
0.931 0.265 0.500 Mg
0.931 0.666 0.500 Mg
0.933 0.266 0.166 Mg
0.933 0.266 0.834 Mg
0.933 0.467 0.500 Mg
0.933 0.667 0.166 Mg
0.933 0.667 0.834 Mg
0.934 0.066 0.167 Mg
0.934 0.066 0.500 Mg
0.934 0.066 0.833 Mg
0.934 0.467 0.167 Mg
0.934 0.467 0.833 Mg
0.934 0.867 0.167 Mg
0.934 0.867 0.833 Mg
0.934 0.868 0.500 Mg
0.999 0.400 0.000 Mg
0.999 0.599 0.000 Mg
0.333 0.667 0.500 I
```

Summary:
DFT total energy: -1.62 eV/atom
Crystal system: hexagonal

---

# 11
Zr5Te6: optimized geometry, GGA-PBE.

```
Zr5Te6
1.0
11.808 0.000 0.000
-5.904 10.226 0.000
0.000 0.000 7.174
Zr Te
15 18
Direct
0.000 0.000 0.000 Zr
0.000 0.298 0.000 Zr
0.000 0.363 0.500 Zr
0.000 0.637 0.500 Zr
0.000 0.702 0.000 Zr
0.298 0.000 0.000 Zr
0.298 0.298 0.000 Zr
0.333 0.667 0.511 Zr
0.363 0.000 0.500 Zr
0.363 0.363 0.500 Zr
0.637 0.000 0.500 Zr
0.637 0.637 0.500 Zr
0.667 0.333 0.489 Zr
0.702 0.000 0.000 Zr
0.702 0.702 0.000 Zr
0.107 0.213 0.711 Te
0.107 0.893 0.711 Te
0.118 0.559 0.791 Te
0.213 0.107 0.289 Te
0.225 0.449 0.245 Te
0.225 0.775 0.245 Te
0.441 0.559 0.791 Te
0.441 0.882 0.791 Te
0.449 0.225 0.755 Te
0.551 0.775 0.245 Te
0.559 0.118 0.209 Te
0.559 0.441 0.209 Te
0.775 0.225 0.755 Te
0.775 0.551 0.755 Te
0.787 0.893 0.711 Te
0.882 0.441 0.209 Te
0.893 0.107 0.289 Te
0.893 0.787 0.289 Te
```

Summary:
DFT total energy: -6.50 eV/atom
Crystal system: trigonal

---

# 12
BaPrO3: optimized geometry, GGA-PBE.

```
BaPrO3
1.0
3.246 1.874 5.200
-3.246 1.874 5.200
0.000 -3.748 5.200
Ba Pr O
2 2 6
Direct
0.250 0.250 0.250 Ba
0.750 0.750 0.750 Ba
0.000 0.000 0.000 Pr
0.500 0.500 0.500 Pr
0.163 0.750 0.337 O
0.250 0.663 0.837 O
0.337 0.163 0.750 O
0.663 0.837 0.250 O
0.750 0.337 0.163 O
0.837 0.250 0.663 O
```

Summary:
DFT total energy: -6.86 eV/atom
Crystal system: trigonal

---

# 13
MgSi2: optimized geometry, GGA-PBE.

```
MgSi2
1.0
6.785 0.000 0.000
0.000 3.732 0.000
-0.132 0.000 8.880
Mg Si
4 8
Direct
0.000 0.000 0.000 Mg
0.084 0.000 0.461 Mg
0.538 0.500 0.447 Mg
0.650 0.500 0.975 Mg
0.244 0.500 0.676 Si
0.253 0.500 0.208 Si
0.384 0.000 0.070 Si
0.400 0.000 0.797 Si
0.686 0.000 0.224 Si
0.717 0.000 0.666 Si
0.904 0.500 0.260 Si
0.910 0.500 0.758 Si
```

Summary:
DFT total energy: -4.03 eV/atom
Excess energy over the best structure of this formula in the dataset: 88 meV per atom
Crystal system: monoclinic